Record 1
Compound: GaFe2
Source: the Materials Project
Functional: PBE
Structure: optimized geometry

The structure belongs to space group Fmmm (No. 69); the cell edges are 3.0158, 4.2347 and 11.8988 Å and the angles 90.00°, 90.00° and 90.00°. The asymmetric unit holds Ga at (0.0000, 0.0000, 0.0000) and Fe at (0.0000, 0.0000, 0.3300).

As for the formation energy from the elements: -7 meV per atom. Its size of the total moment is 4.55 μB per formula unit.



Record 2
Compound: Ga3Fe
Source: the Materials Project
Functional: PBE
Structure: optimized geometry

The structure belongs to space group P4_2/mnm (No. 136); the cell edges are 6.2672, 6.2672 and 6.5810 Å and the angles 90.00°, 90.00° and 90.00°. The asymmetric unit holds Ga at (0.0000, 0.5000, 0.0000), Ga at (0.1558, 0.1558, 0.2370) and Fe at (0.1563, 0.8437, 0.0000).

As for the formation energy from the elements: -238 meV per atom.



Record 3
Compound: Ga5Fe6
Source: the Materials Project
Functional: PBE
Structure: optimized geometry

The structure belongs to space group C2/m (No. 12); the cell edges are 10.0396, 7.9178 and 7.6888 Å and the angles 90.00°, 108.38° and 90.00°. The asymmetric unit holds Ga at (0.0381, 0.1965, 0.2051), Ga at (0.1227, 0.5000, 0.9799), Ga at (0.1311, 0.0000, 0.5986), Ga at (0.1785, 0.5000, 0.6550), Fe at (0.0000, 0.2797, 0.5000), Fe at (0.1034, 0.5000, 0.3094), Fe at (0.1309, 0.0000, 0.0132), Fe at (0.2250, 0.2319, 0.8299) and Fe at (0.2500, 0.2500, 0.5000).

As for the formation energy from the elements: -146 meV per atom. Its size of the total moment is 12.18 μB per formula unit.



Record 4
Compound: GaFe2
Source: the Materials Project
Functional: PBE
Structure: optimized geometry

The structure belongs to space group P-3m1 (No. 164); the cell edges are 2.6530, 2.6530 and 6.3391 Å and the angles 90.00°, 90.00° and 120.00°. The asymmetric unit holds Ga at (0.0000, 0.0000, 0.0000) and Fe at (0.3333, 0.6667, 0.6666).

As for the formation energy from the elements: 90 meV per atom. Its size of the total moment is 4.66 μB per formula unit.



Q: Number 2 is which compound?
A: Ga3Fe